The following is a PBE calculation of crystalline Zn2P3H19C4N2O12 at its relaxed geometry, from the Materials Project database.

CIF file:
```
data_Zn2P3H19C4N2O12
_chemical_formula_sum 'Zn8 P12 H76 C16 N8 O48'
_space_group_name_H-M_alt 'P 1'
_space_group_IT_number 1
_cell_length_a 19.558
_cell_length_b 9.872
_cell_length_c 9.960
_cell_angle_alpha 99.30
_cell_angle_beta 119.37
_cell_angle_gamma 89.99
loop_
_space_group_symop_operation_xyz
'x,y,z'
loop_
_atom_site_label
_atom_site_fract_x
_atom_site_fract_y
_atom_site_fract_z
H1 0.465 0.959 0.292
H2 0.054 0.908 0.609
H3 0.537 0.038 0.714
H4 0.249 0.888 0.147
H5 0.665 0.617 0.240
H6 0.180 0.890 0.822
H7 0.229 0.692 0.788
H8 0.320 0.110 0.178
H9 0.731 0.390 0.822
H10 0.248 0.592 0.386
H11 0.734 0.695 0.792
H12 0.938 0.645 0.127
H13 0.455 0.115 0.238
H14 0.556 0.906 0.611
H15 0.810 0.518 0.945
H16 0.347 0.440 0.344
H17 0.446 0.092 0.391
H18 0.337 0.980 0.054
H19 0.125 0.145 0.126
H20 0.818 0.539 0.705
H21 0.994 0.534 0.999
H22 0.252 0.408 0.614
H23 0.271 0.308 0.212
H24 0.675 0.062 0.657
H25 0.172 0.607 0.850
H26 0.153 0.560 0.656
H27 0.665 0.019 0.948
H28 0.766 0.305 0.208
H29 0.251 0.112 0.853
H30 0.321 0.540 0.716
H31 0.163 0.616 0.231
H32 0.835 0.809 0.210
H33 0.818 0.113 0.174
H34 0.944 0.094 0.389
H35 0.309 0.522 0.949
H36 0.963 0.962 0.286
H37 0.338 0.805 0.209
H38 0.751 0.594 0.393
H39 0.004 0.034 0.999
H40 0.056 0.364 0.880
H41 0.328 0.393 0.150
H42 0.747 0.893 0.148
H43 0.268 0.612 0.172
H44 0.035 0.041 0.708
H45 0.825 0.938 0.343
H46 0.953 0.119 0.234
H47 0.496 0.966 0.001
H48 0.655 0.569 0.658
H49 0.179 0.460 0.284
H50 0.845 0.431 0.342
H51 0.824 0.388 0.146
H52 0.753 0.107 0.852
H53 0.616 0.136 0.119
H54 0.444 0.636 0.120
H55 0.682 0.887 0.826
H56 0.163 0.020 0.946
H57 0.690 0.482 0.055
H58 0.835 0.383 0.760
H59 0.562 0.355 0.873
H60 0.232 0.388 0.828
H61 0.835 0.981 0.052
H62 0.191 0.478 0.051
H63 0.375 0.855 0.874
H64 0.506 0.466 0.001
H65 0.162 0.195 0.791
H66 0.045 0.885 0.762
H67 0.327 0.932 0.343
H68 0.682 0.461 0.295
H69 0.769 0.610 0.178
H70 0.749 0.406 0.607
H71 0.337 0.384 0.769
H72 0.665 0.191 0.790
H73 0.547 0.881 0.766
H74 0.884 0.864 0.881
H75 0.173 0.068 0.657
H76 0.676 0.612 0.854
O1 0.438 0.424 0.623
O2 0.471 0.266 0.149
O3 0.475 0.874 0.009
O4 0.229 0.818 0.499
O5 0.473 0.679 0.489
O6 0.937 0.425 0.616
O7 0.127 0.077 0.378
O8 0.319 0.847 0.787
O9 0.926 0.655 0.214
O10 0.396 0.234 0.851
O11 0.072 0.352 0.797
O12 0.563 0.575 0.384
O13 0.673 0.149 0.203
O14 0.660 0.329 0.403
O15 0.029 0.734 0.851
O16 0.341 0.669 0.597
O17 0.025 0.126 0.991
O18 0.970 0.267 0.149
O19 0.605 0.767 0.150
O20 0.827 0.851 0.797
O21 0.871 0.926 0.617
O22 0.840 0.671 0.597
O23 0.428 0.648 0.203
O24 0.159 0.331 0.403
O25 0.523 0.118 0.988
O26 0.043 0.831 0.404
O27 0.457 0.169 0.596
O28 0.895 0.233 0.850
O29 0.472 0.618 0.990
O30 0.028 0.382 0.010
O31 0.542 0.829 0.403
O32 0.062 0.576 0.377
O33 0.771 0.180 0.489
O34 0.530 0.733 0.851
O35 0.373 0.923 0.622
O36 0.977 0.882 0.012
O37 0.969 0.625 0.991
O38 0.629 0.074 0.383
O39 0.104 0.766 0.149
O40 0.181 0.153 0.213
O41 0.027 0.321 0.511
O42 0.958 0.171 0.597
O43 0.574 0.345 0.786
O44 0.519 0.317 0.497
O45 0.729 0.820 0.511
O46 0.981 0.683 0.503
O47 0.271 0.182 0.501
O48 0.531 0.375 0.009
C1 0.845 0.015 0.171
C2 0.760 0.486 0.826
C3 0.260 0.486 0.830
C4 0.300 0.408 0.222
C5 0.740 0.514 0.174
C6 0.154 0.987 0.827
C7 0.797 0.403 0.221
C8 0.187 0.097 0.779
C9 0.346 0.013 0.173
C10 0.240 0.514 0.170
C11 0.200 0.592 0.778
C12 0.811 0.908 0.221
C13 0.655 0.985 0.829
C14 0.703 0.597 0.779
C15 0.689 0.092 0.779
C16 0.313 0.903 0.221
N1 0.066 0.955 0.721
N2 0.295 0.453 0.726
N3 0.434 0.045 0.279
N4 0.707 0.548 0.281
N5 0.568 0.951 0.724
N6 0.932 0.049 0.276
N7 0.793 0.452 0.719
N8 0.205 0.547 0.274
P1 0.022 0.758 0.001
P2 0.523 0.742 0.000
P3 0.684 0.180 0.375
P4 0.504 0.680 0.376
P5 0.977 0.258 0.000
P6 0.816 0.820 0.625
P7 0.005 0.684 0.381
P8 0.495 0.316 0.619
P9 0.996 0.320 0.624
P10 0.478 0.242 0.999
P11 0.315 0.817 0.619
P12 0.185 0.183 0.381
Zn1 0.552 0.375 0.358
Zn2 0.872 0.126 0.640
Zn3 0.127 0.877 0.357
Zn4 0.373 0.123 0.643
Zn5 0.449 0.624 0.642
Zn6 0.628 0.874 0.360
Zn7 0.051 0.376 0.358
Zn8 0.948 0.625 0.642
```

***

The following is a PBE calculation of crystalline Zn3P4H20C4N2O12 at its relaxed geometry, from the Materials Project database.

CIF file:
```
data_Zn3P4H20C4N2O12
_chemical_formula_sum 'Zn6 P8 H40 C8 N4 O24'
_space_group_name_H-M_alt 'P 1'
_space_group_IT_number 1
_cell_length_a 8.727
_cell_length_b 9.211
_cell_length_c 15.813
_cell_angle_alpha 76.08
_cell_angle_beta 73.98
_cell_angle_gamma 61.73
loop_
_space_group_symop_operation_xyz
'x,y,z'
loop_
_atom_site_label
_atom_site_fract_x
_atom_site_fract_y
_atom_site_fract_z
H1 0.652 0.795 0.949
H2 0.605 0.295 0.449
H3 0.609 0.126 0.658
H4 0.663 0.166 0.277
H5 0.337 0.834 0.723
H6 0.060 0.196 0.085
H7 0.395 0.705 0.551
H8 0.814 0.757 0.147
H9 0.564 0.500 0.576
H10 0.902 0.392 0.190
H11 0.615 0.599 0.688
H12 0.515 0.892 0.690
H13 0.940 0.804 0.915
H14 0.630 0.409 0.342
H15 0.619 0.909 0.842
H16 0.370 0.591 0.658
H17 0.376 0.937 0.613
H18 0.640 0.000 0.924
H19 0.485 0.108 0.310
H20 0.360 0.000 0.076
H21 0.719 0.743 0.353
H22 0.186 0.243 0.853
H23 0.624 0.063 0.387
H24 0.393 0.374 0.842
H25 0.098 0.608 0.810
H26 0.436 0.500 0.424
H27 0.391 0.874 0.342
H28 0.902 0.901 0.812
H29 0.381 0.091 0.158
H30 0.894 0.666 0.777
H31 0.098 0.099 0.188
H32 0.340 0.304 0.415
H33 0.385 0.401 0.312
H34 0.607 0.626 0.158
H35 0.348 0.205 0.051
H36 0.074 0.437 0.113
H37 0.281 0.257 0.647
H38 0.660 0.696 0.585
H39 0.106 0.334 0.223
H40 0.926 0.563 0.887
P1 0.510 0.558 0.135
P2 0.146 0.361 0.598
P3 0.104 0.139 0.902
P4 0.204 0.942 0.365
P5 0.854 0.639 0.402
P6 0.490 0.442 0.865
P7 0.896 0.861 0.098
P8 0.796 0.058 0.635
N1 0.441 0.315 0.364
N2 0.879 0.815 0.864
N3 0.121 0.185 0.136
N4 0.559 0.685 0.636
O1 0.166 0.523 0.568
O2 0.834 0.477 0.432
O3 0.360 0.564 0.217
O4 0.640 0.436 0.783
O5 0.167 0.828 0.447
O6 0.360 0.622 0.877
O7 0.141 0.122 0.377
O8 0.443 0.672 0.053
O9 0.972 0.234 0.981
O10 0.187 0.266 0.519
O11 0.033 0.614 0.342
O12 0.557 0.328 0.947
O13 0.028 0.766 0.019
O14 0.833 0.172 0.553
O15 0.990 0.886 0.158
O16 0.640 0.378 0.123
O17 0.140 0.936 0.283
O18 0.813 0.734 0.481
O19 0.010 0.114 0.842
O20 0.744 0.023 0.068
O21 0.859 0.878 0.623
O22 0.967 0.386 0.658
O23 0.860 0.064 0.717
O24 0.256 0.977 0.932
C1 0.562 0.151 0.332
C2 0.954 0.651 0.832
C3 0.046 0.349 0.168
C4 0.466 0.615 0.603
C5 0.316 0.115 0.103
C6 0.684 0.885 0.897
C7 0.438 0.849 0.668
C8 0.534 0.385 0.397
Zn1 0.000 0.747 0.524
Zn2 0.271 0.753 0.976
Zn3 0.729 0.247 0.024
Zn4 0.872 0.250 0.750
Zn5 0.128 0.750 0.250
Zn6 0.000 0.253 0.476
```

***

| no. | formation energy from the elements (eV/atom) | VASP energy (eV per atom) |
| --- | --- | --- |
| 1 | -1.22 | -5.699 |
| 2 | -1.14 | -5.536 |